Compound: ScCuO2
Source: the Materials Project
Functional: r2SCAN
Structure: relaxed Values from VASP.

Summary:
- energy of formation from the pure elements (kJ/mol of formula units) = -1002
- E (eV per cell) = -89.1

Geometry as Quantum ESPRESSO input:
```
&SYSTEM
  ibrav = 0, nat = 8, ntyp = 3
/
ATOMIC_SPECIES
Sc 44.96 Sc.upf
Cu 63.55 Cu.upf
O 16.00 O.upf
CELL_PARAMETERS angstrom
3.221 0.000 0.000
-1.611 2.790 0.000
0.000 0.000 11.380
ATOMIC_POSITIONS crystal
Sc 0.000 0.000 0.000
Sc 0.000 0.000 0.500
Cu 0.667 0.333 0.750
Cu 0.333 0.667 0.250
O 0.333 0.667 0.410
O 0.667 0.333 0.910
O 0.333 0.667 0.090
O 0.667 0.333 0.590
```



Compound: RbRuF6
Source: the Materials Project
Functional: r2SCAN
Structure: relaxed Values from VASP.

Summary:
- energy of formation from the pure elements (kJ/mol of formula units) = -1812
- E (eV per cell) = -76.9

Geometry as Quantum ESPRESSO input:
```
&SYSTEM
  ibrav = 0, nat = 8, ntyp = 3
/
ATOMIC_SPECIES
Rb 85.47 Rb.upf
Ru 101.07 Ru.upf
F 19.00 F.upf
CELL_PARAMETERS angstrom
5.058 -0.038 -0.655
-0.740 5.004 -0.655
-0.033 -0.038 5.101
ATOMIC_POSITIONS crystal
Rb 0.500 0.500 0.500
Ru 0.000 0.000 0.000
F 0.260 0.260 0.919
F 0.260 0.919 0.260
F 0.740 0.081 0.740
F 0.740 0.740 0.081
F 0.081 0.740 0.740
F 0.919 0.260 0.260
```



Compound: F
Source: the Materials Project
Functional: r2SCAN
Structure: relaxed Values from VASP.

Summary:
- energy above the most stable polymorph in this dataset (meV per atom) = 0
- energy of formation from the pure elements (kJ/mol of formula units) = 0
- E (eV per cell) = -12.5

Geometry as Quantum ESPRESSO input:
```
&SYSTEM
  ibrav = 0, nat = 4, ntyp = 1
/
ATOMIC_SPECIES
F 19.00 F.upf
CELL_PARAMETERS angstrom
3.071 -0.013 0.000
-1.005 2.902 0.000
0.000 0.000 5.992
ATOMIC_POSITIONS crystal
F 0.118 0.118 0.095
F 0.382 0.382 0.595
F 0.618 0.618 0.405
F 0.882 0.882 0.905
```



Compound: Sm3Ho
Source: the Materials Project
Functional: r2SCAN
Structure: relaxed Values from VASP.

Summary:
- energy above the most stable polymorph in this dataset (meV per atom) = 0
- energy of formation from the pure elements (kJ/mol of formula units) = 4
- E (eV per cell) = -244.1

Geometry as Quantum ESPRESSO input:
```
&SYSTEM
  ibrav = 0, nat = 8, ntyp = 2
/
ATOMIC_SPECIES
Sm 150.36 Sm.upf
Ho 164.93 Ho.upf
CELL_PARAMETERS angstrom
7.355 0.000 0.000
-3.678 6.370 0.000
0.000 0.000 5.860
ATOMIC_POSITIONS crystal
Sm 0.169 0.338 0.250
Sm 0.662 0.831 0.250
Sm 0.169 0.831 0.250
Sm 0.831 0.662 0.750
Sm 0.338 0.169 0.750
Sm 0.831 0.169 0.750
Ho 0.333 0.667 0.750
Ho 0.667 0.333 0.250
```



Compound: Be3N2
Source: the Materials Project
Functional: r2SCAN
Structure: relaxed Values from VASP.

Summary:
- energy above the most stable polymorph in this dataset (meV per atom) = 53
- energy of formation from the pure elements (kJ/mol of formula units) = -577
- E (eV per cell) = -37.2

Geometry as Quantum ESPRESSO input:
```
&SYSTEM
  ibrav = 0, nat = 5, ntyp = 2
/
ATOMIC_SPECIES
Be 9.01 Be.upf
N 14.01 N.upf
CELL_PARAMETERS angstrom
-2.292 -3.755 -2.649
-1.849 -4.790 -0.043
-4.068 -3.088 -0.536
ATOMIC_POSITIONS crystal
Be 0.141 0.141 0.141
Be 0.682 0.682 0.682
Be 0.911 0.911 0.911
N 0.796 0.796 0.796
N 0.292 0.292 0.292
```



Compound: AcInTe2
Source: the Materials Project
Functional: r2SCAN
Structure: relaxed Values from VASP.

Summary:
- energy of formation from the pure elements (kJ/mol of formula units) = -450
- E (eV per cell) = -146.7

Geometry as Quantum ESPRESSO input:
```
&SYSTEM
  ibrav = 0, nat = 4, ntyp = 3
/
ATOMIC_SPECIES
Ac 227.00 Ac.upf
In 114.82 In.upf
Te 127.60 Te.upf
CELL_PARAMETERS angstrom
0.000 4.052 4.052
4.052 0.000 4.052
4.052 4.052 0.000
ATOMIC_POSITIONS crystal
Ac 0.500 0.500 0.500
In 0.000 0.000 0.000
Te 0.250 0.250 0.250
Te 0.750 0.750 0.750
```



Compound: K2SnO3
Source: the Materials Project
Functional: r2SCAN
Structure: relaxed Values from VASP.

Summary:
- energy of formation from the pure elements (kJ/mol of formula units) = -1036
- E (eV per cell) = -261.7

Geometry as Quantum ESPRESSO input:
```
&SYSTEM
  ibrav = 0, nat = 24, ntyp = 3
/
ATOMIC_SPECIES
K 39.10 K.upf
Sn 118.71 Sn.upf
O 16.00 O.upf
CELL_PARAMETERS angstrom
-4.542 -1.650 3.150
3.683 -5.470 2.446
3.362 5.786 7.878
ATOMIC_POSITIONS crystal
K 0.234 0.887 0.912
K 0.766 0.113 0.088
K 0.234 0.887 0.588
K 0.734 0.613 0.912
K 0.266 0.387 0.088
K 0.766 0.113 0.412
K 0.734 0.613 0.588
K 0.266 0.387 0.412
Sn 0.730 0.659 0.250
Sn 0.230 0.841 0.250
Sn 0.770 0.159 0.750
Sn 0.270 0.341 0.750
O 0.991 0.726 0.120
O 0.491 0.774 0.380
O 0.509 0.226 0.880
O 0.009 0.274 0.620
O 0.009 0.274 0.880
O 0.509 0.226 0.620
O 0.491 0.774 0.120
O 0.991 0.726 0.380
O 0.344 0.609 0.750
O 0.656 0.391 0.250
O 0.156 0.109 0.250
O 0.844 0.891 0.750
```



Compound: Ba2MgGe2O7
Source: the Materials Project
Functional: r2SCAN
Structure: relaxed Values from VASP.

Summary:
- energy of formation from the pure elements (kJ/mol of formula units) = -2991
- E (eV per cell) = -315.4

Geometry as Quantum ESPRESSO input:
```
&SYSTEM
  ibrav = 0, nat = 24, ntyp = 4
/
ATOMIC_SPECIES
Ba 137.33 Ba.upf
Mg 24.30 Mg.upf
Ge 72.64 Ge.upf
O 16.00 O.upf
CELL_PARAMETERS angstrom
8.408 0.000 0.000
0.000 8.408 0.000
0.000 0.000 5.584
ATOMIC_POSITIONS crystal
Ba 0.335 0.835 0.509
Ba 0.165 0.335 0.491
Ba 0.665 0.165 0.509
Ba 0.835 0.665 0.491
Mg 0.500 0.500 0.000
Mg 0.000 0.000 0.000
Ge 0.141 0.641 0.958
Ge 0.359 0.141 0.042
Ge 0.859 0.359 0.958
Ge 0.641 0.859 0.042
O 0.500 0.000 0.160
O 0.000 0.500 0.840
O 0.139 0.639 0.268
O 0.361 0.139 0.732
O 0.861 0.361 0.268
O 0.639 0.861 0.732
O 0.317 0.579 0.815
O 0.183 0.079 0.185
O 0.683 0.421 0.815
O 0.817 0.921 0.185
O 0.579 0.683 0.185
O 0.921 0.183 0.815
O 0.421 0.317 0.185
O 0.079 0.817 0.815
```



Compound: Gd2AlCd
Source: the Materials Project
Functional: r2SCAN
Structure: relaxed Values from VASP.

Summary:
- energy of formation from the pure elements (kJ/mol of formula units) = -146
- E (eV per cell) = -115.1

Geometry as Quantum ESPRESSO input:
```
&SYSTEM
  ibrav = 0, nat = 4, ntyp = 3
/
ATOMIC_SPECIES
Gd 157.25 Gd.upf
Al 26.98 Al.upf
Cd 112.41 Cd.upf
CELL_PARAMETERS angstrom
-1.796 -2.883 3.991
0.328 1.820 4.904
-4.340 1.465 2.547
ATOMIC_POSITIONS crystal
Gd 0.250 0.250 0.250
Gd 0.750 0.750 0.750
Al 0.500 0.500 0.500
Cd 0.000 0.000 0.000
```



Compound: Ba2Cu2Te4Br2O11
Source: the Materials Project
Functional: r2SCAN
Structure: relaxed Values from VASP.

Summary:
- energy of formation from the pure elements (kJ/mol of formula units) = -3110
- E (eV per cell) = -601.6

Geometry as Quantum ESPRESSO input:
```
&SYSTEM
  ibrav = 0, nat = 42, ntyp = 5
/
ATOMIC_SPECIES
Ba 137.33 Ba.upf
Cu 63.55 Cu.upf
Te 127.60 Te.upf
Br 79.90 Br.upf
O 16.00 O.upf
CELL_PARAMETERS angstrom
-4.859 -7.761 1.596
6.802 -1.998 -6.005
5.063 0.417 8.065
ATOMIC_POSITIONS crystal
Ba 0.982 0.734 0.429
Ba 0.018 0.266 0.571
Ba 0.482 0.232 0.431
Ba 0.518 0.768 0.569
Cu 0.200 0.450 0.301
Cu 0.800 0.550 0.699
Cu 0.302 0.051 0.700
Cu 0.698 0.949 0.300
Te 0.791 0.313 0.212
Te 0.209 0.687 0.788
Te 0.065 0.042 0.214
Te 0.935 0.958 0.786
Te 0.697 0.205 0.801
Te 0.303 0.795 0.199
Te 0.461 0.446 0.806
Te 0.539 0.554 0.194
Br 0.645 0.893 0.954
Br 0.355 0.107 0.046
Br 0.916 0.669 0.043
Br 0.084 0.331 0.957
O 0.237 0.673 0.332
O 0.763 0.327 0.668
O 0.423 0.486 0.328
O 0.577 0.514 0.672
O 0.009 0.575 0.670
O 0.991 0.425 0.330
O 0.323 0.260 0.675
O 0.677 0.740 0.325
O 0.176 0.244 0.335
O 0.824 0.756 0.665
O 0.263 0.828 0.670
O 0.737 0.172 0.330
O 0.078 0.008 0.667
O 0.922 0.992 0.333
O 0.508 0.073 0.667
O 0.492 0.927 0.333
O 0.706 0.448 0.310
O 0.294 0.552 0.690
O 0.200 0.961 0.322
O 0.800 0.039 0.678
O 0.400 0.654 0.111
O 0.600 0.346 0.889
```



Compound: Cs2TeBr6
Source: the Materials Project
Functional: r2SCAN
Structure: relaxed Values from VASP.

Summary:
- energy of formation from the pure elements (kJ/mol of formula units) = -1080
- E (eV per cell) = -166.4

Geometry as Quantum ESPRESSO input:
```
&SYSTEM
  ibrav = 0, nat = 9, ntyp = 3
/
ATOMIC_SPECIES
Cs 132.91 Cs.upf
Te 127.60 Te.upf
Br 79.90 Br.upf
CELL_PARAMETERS angstrom
-0.962 -4.619 -6.255
6.159 -3.707 -3.117
0.674 -7.772 0.728
ATOMIC_POSITIONS crystal
Cs 0.750 0.750 0.750
Cs 0.250 0.250 0.250
Te 0.000 0.000 0.000
Br 0.246 0.754 0.754
Br 0.246 0.754 0.246
Br 0.754 0.246 0.754
Br 0.754 0.246 0.246
Br 0.754 0.754 0.246
Br 0.246 0.246 0.754
```



Compound: Sc2Ni
Source: the Materials Project
Functional: r2SCAN
Structure: relaxed Values from VASP.

Summary:
- energy of formation from the pure elements (kJ/mol of formula units) = -90
- E (eV per cell) = -285.7

Geometry as Quantum ESPRESSO input:
```
&SYSTEM
  ibrav = 0, nat = 24, ntyp = 2
/
ATOMIC_SPECIES
Sc 44.96 Sc.upf
Ni 58.69 Ni.upf
CELL_PARAMETERS angstrom
4.267 -0.637 7.371
-2.634 4.369 6.850
-3.492 -4.126 6.613
ATOMIC_POSITIONS crystal
Sc 0.000 0.000 0.000
Sc 0.000 0.000 0.500
Sc 0.500 0.000 0.000
Sc 0.000 0.500 0.000
Sc 0.811 0.439 0.439
Sc 0.439 0.811 0.811
Sc 0.439 0.811 0.439
Sc 0.439 0.439 0.811
Sc 0.811 0.439 0.811
Sc 0.811 0.811 0.439
Sc 0.561 0.189 0.561
Sc 0.189 0.561 0.189
Sc 0.189 0.561 0.561
Sc 0.561 0.561 0.189
Sc 0.561 0.189 0.189
Sc 0.189 0.189 0.561
Ni 0.210 0.211 0.211
Ni 0.211 0.211 0.868
Ni 0.868 0.211 0.211
Ni 0.211 0.868 0.211
Ni 0.790 0.790 0.790
Ni 0.789 0.789 0.131
Ni 0.789 0.132 0.789
Ni 0.132 0.789 0.789
```



Q: E of number 11 (Cs2TeBr6)?
A: -166.4 eV per cell